(1)
Density functional theory data (r2SCAN) for a relaxed NdAlNi4 crystal.

Values from the calculation:
space-group type: No. 65
E: -86.70 eV per cell
magnetic moment: 0.00 μB per formula unit

Structure (POSCAR):
```
NdAlNi4
1.0
-2.3730 1.3285 4.1152
-2.5640 -2.3292 -3.5118
0.9171 -3.5205 1.6654
Nd Al Ni
1 1 4
Direct
0.5000 0.5000 0.0000
0.0000 0.0000 0.5000
0.1690 0.8312 0.0000
0.8310 0.1688 0.0000
0.0000 0.5000 0.5000
0.5000 0.0000 0.5000
```

***

(2)
Density functional theory data (r2SCAN) for a relaxed PaAl3 crystal.

Values from the calculation:
space-group type: No. 221
E: -98.04 eV per cell
magnetic moment: 0.03 μB per formula unit

Structure (POSCAR):
```
PaAl3
1.0
-3.0707 2.6953 1.2914
-0.6705 -2.4257 3.4682
2.9126 2.2833 2.1600
Pa Al
1 3
Direct
0.0000 0.0000 0.0000
0.0000 0.5000 0.5000
0.5000 0.0000 0.5000
0.5000 0.5000 0.0000
```

***

(3)
Density functional theory data (r2SCAN) for a relaxed Gd3Er crystal.

Values from the calculation:
space-group type: No. 221
E: -163.82 eV per cell
magnetic moment: 25.00 μB per formula unit

Structure (POSCAR):
```
Gd3Er
1.0
-3.3942 2.4197 3.0170
-3.6621 -3.3016 -1.4720
1.2435 -3.1180 3.8998
Gd Er
3 1
Direct
0.0000 0.5000 0.5000
0.5000 0.0000 0.5000
0.5000 0.5000 0.0000
0.0000 0.0000 0.0000
```

***

Question: Among the records above, which one has the lowest magnetic moment?
Answer: NdAlNi4